Entry from the Materials Project: an optimized crystal structure of Nd3Sb4Pt7 (PBE-GGA).

## Properties
ΔH_f (0 K) (eV/atom): -0.8647

Geometry as POSCAR:
```
Nd3Sb4Pt7
1.0
-4.364 -2.726 -6.951
-0.220 -2.657 -8.227
-0.912 -9.904 -3.496
Pt Sb Nd
7 4 3
Cartesian
-4.806 -8.492 -16.067 Pt
-2.996 -4.880 -9.993 Pt
-2.500 -10.408 -8.681 Pt
-0.690 -6.796 -2.607 Pt
-1.445 -8.131 -5.131 Pt
-4.051 -7.157 -13.543 Pt
-2.748 -7.644 -9.337 Pt
-2.026 -5.985 -6.903 Sb
-1.677 -10.579 -6.018 Sb
-3.818 -4.708 -12.656 Sb
-3.470 -9.302 -11.772 Sb
-1.075 -4.050 -3.712 Nd
-2.292 -2.692 -7.589 Nd
-4.420 -11.237 -14.962 Nd
```